No. 1
V2ZnO4: relaxed, PBE with a Hubbard U.

Calculated values
The energy relative to the lowest polymorph listed for this composition comes out at 72 meV/atom. The space-group type is No. 227. The MP2020-corrected energy comes out at -55.10 eV/f.u.

a b c (Å): 6.0588 6.0588 6.0588
angles (deg): 60.00 60.00 60.00
With the nearest neighbours (Å) after each atom.
Sites, in units of the cell vectors:
O: 0.3648 0.3648 0.3648  1 Zn 2.01, 3 V 2.06
O: 0.9055 0.3648 0.3648  1 Zn 2.01, 3 V 2.06
O: 0.8852 0.8852 0.3445  1 Zn 2.01, 3 V 2.06
O: 0.3648 0.3648 0.9055  1 Zn 2.01, 3 V 2.06
O: 0.3648 0.9055 0.3648  1 Zn 2.01, 3 V 2.06
O: 0.8852 0.3445 0.8852  1 Zn 2.01, 3 V 2.06
O: 0.8852 0.8852 0.8852  1 Zn 2.01, 3 V 2.06
O: 0.3445 0.8852 0.8852  1 Zn 2.01, 3 V 2.06
V: 0.1250 0.1250 0.6250  6 O 2.06
V: 0.6250 0.1250 0.1250  6 O 2.06
V: 0.1250 0.6250 0.1250  6 O 2.06
V: 0.1250 0.1250 0.1250  6 O 2.06
Zn: 0.5000 0.5000 0.5000  4 O 2.01
Zn: 0.7500 0.7500 0.7500  4 O 2.01

---

No. 2
LiMn4O8: relaxed, PBE with a Hubbard U.

Calculated values
The energy relative to the lowest polymorph listed for this composition comes out at 4 meV/atom. The space-group type is No. 14. The MP2020-corrected energy comes out at -103.14 eV/f.u.

a b c (Å): 5.9174 9.6165 13.9073
angles (deg): 47.84 90.00 90.00
With the nearest neighbours (Å) after each atom.
Sites, in units of the cell vectors:
O: 0.8722 0.3986 0.8930  3 Mn 1.90-2.00
O: 0.1178 0.9293 0.4633  3 Mn 1.98-2.00
O: 0.6274 0.2635 0.7923  3 Mn 1.92-1.94
O: 0.8767 0.6098 0.6015  3 Mn 1.92-2.00, 1 Li 2.15
O: 0.8587 0.6415 0.9176  3 Mn 1.95-2.04, 1 Li 2.10
O: 0.3587 0.3585 0.5824  3 Mn 1.95-2.04, 1 Li 2.10
O: 0.3767 0.3902 0.8985  3 Mn 1.92-2.00, 1 Li 2.15
O: 0.6225 0.7302 0.7096  3 Mn 1.92-1.95
O: 0.1225 0.2698 0.7904  3 Mn 1.92-1.95
O: 0.3684 0.0708 0.5340  3 Mn 1.96-2.02
O: 0.8726 0.2635 0.2923  3 Mn 1.92-1.94
O: 0.8940 0.3480 0.5870  3 Mn 1.96-2.07, 1 Li 2.09
O: 0.1060 0.6520 0.4130  3 Mn 1.96-2.07, 1 Li 2.09
O: 0.6316 0.9292 0.4660  3 Mn 1.96-2.02
O: 0.1316 0.0708 0.0340  3 Mn 1.96-2.02
O: 0.1233 0.3902 0.3985  3 Mn 1.92-2.00, 1 Li 2.15
O: 0.6178 0.0707 0.0367  3 Mn 1.98-2.00
O: 0.3775 0.2698 0.2904  3 Mn 1.92-1.95
O: 0.1413 0.3585 0.0824  3 Mn 1.95-2.04, 1 Li 2.10
O: 0.6060 0.3480 0.0870  3 Mn 1.96-2.07, 1 Li 2.09
O: 0.8684 0.9292 0.9660  3 Mn 1.96-2.02
O: 0.8775 0.7302 0.2096  3 Mn 1.92-1.95
O: 0.6278 0.3986 0.3930  3 Mn 1.90-2.00
O: 0.1274 0.7365 0.7077  3 Mn 1.92-1.94
O: 0.3726 0.7365 0.2077  3 Mn 1.92-1.94
O: 0.3822 0.9293 0.9633  3 Mn 1.98-2.00
O: 0.6413 0.6415 0.4176  3 Mn 1.95-2.04, 1 Li 2.10
O: 0.3940 0.6520 0.9130  3 Mn 1.96-2.07, 1 Li 2.09
O: 0.8822 0.0707 0.5367  3 Mn 1.98-2.00
O: 0.3722 0.6014 0.6070  3 Mn 1.90-2.00
O: 0.1278 0.6014 0.1070  3 Mn 1.90-2.00
O: 0.6233 0.6098 0.1015  3 Mn 1.92-2.00, 1 Li 2.15
Mn: 0.6239 0.5210 0.8976  6 O 1.91-1.96
Mn: 0.6257 0.1841 0.4113  6 O 1.90-2.02
Mn: 0.1239 0.4790 0.6024  6 O 1.91-1.96
Mn: 0.6249 0.8178 0.0943  6 O 1.92-1.99
Mn: 0.3743 0.8159 0.5887  6 O 1.90-2.02
Mn: 0.6265 0.4644 0.6075  6 O 1.92-2.07
Mn: 0.3761 0.4790 0.1024  6 O 1.91-1.96
Mn: 0.3735 0.5356 0.3925  6 O 1.92-2.07
Mn: 0.8735 0.4644 0.1075  6 O 1.92-2.07
Mn: 0.3751 0.1822 0.9057  6 O 1.92-1.99
Mn: 0.8743 0.1841 0.9113  6 O 1.90-2.02
Mn: 0.1257 0.8159 0.0887  6 O 1.90-2.02
Mn: 0.8751 0.8178 0.5943  6 O 1.92-1.99
Mn: 0.8761 0.5210 0.3976  6 O 1.91-1.96
Mn: 0.1249 0.1822 0.4057  6 O 1.92-1.99
Mn: 0.1265 0.5356 0.8925  6 O 1.92-2.07
Li: 0.6310 0.8305 0.8941  5 O 2.09-2.29
Li: 0.8690 0.8305 0.3941  5 O 2.09-2.29
Li: 0.3690 0.1695 0.1059  5 O 2.09-2.29
Li: 0.1310 0.1695 0.6059  5 O 2.09-2.29

---

No. 3
MgAlCuW2O8: relaxed, PBE with a Hubbard U.

Calculated values
The energy relative to the lowest polymorph listed for this composition comes out at 0 meV/atom. The space-group type is No. 1. The MP2020-corrected energy comes out at -104.51 eV/f.u.

a b c (Å): 5.1844 5.7765 5.7573
angles (deg): 108.55 118.12 89.54
With the nearest neighbours (Å) after each atom.
Sites, in units of the cell vectors:
O: 0.6326 0.5067 0.3176  1 W 1.90, 1 Al 1.92, 1 Cu 1.95
O: 0.6482 0.3778 0.8161  1 Al 1.98, 2 W 2.08-2.10
O: 0.5404 0.0020 0.3400  2 W 2.09-2.15, 1 Al 2.15, 1 Mg 2.22
O: 0.1086 0.1321 0.7879  1 Mg 2.00, 2 W 2.02-2.05
O: 0.1864 0.6239 0.8599  1 Al 1.88, 1 W 2.00, 1 Mg 2.02
O: 0.0222 0.7753 0.2834  1 Al 1.90, 1 Cu 1.95, 1 W 2.01
O: 0.6194 0.8818 0.8574  1 W 1.89, 1 Al 1.99, 1 Mg 2.05
O: 0.0928 0.2361 0.3702  1 Cu 1.96, 2 W 2.06-2.10, 1 Mg 2.15
Al: 0.6033 0.6775 0.0725  5 O 1.88-1.99
W: 0.8512 0.3440 0.5731  5 O 1.90-2.08
W: 0.3659 0.0345 0.6075  6 O 1.89-2.10
Mg: 0.0683 0.9467 0.0128  6 O 2.00-2.22
Cu: 0.2566 0.5092 0.3186  3 O 1.95-1.96

---

Number 1: E_tot -6.993 eV/atom, formation energy from the elements -2.27 eV/atom. Number 2: E_tot -6.998 eV/atom, formation energy from the elements -1.92 eV/atom. Number 3: E_tot -6.934 eV/atom, formation energy from the elements -2.27 eV/atom.